Entry 1:
{
  "formula": "Zr3TiFe8",
  "functional": "PBE",
  "state": "optimized geometry",
  "cell": [[2.475, 1.429, 8.074], [-2.475, 1.429, 8.074], [0.000, -2.858, 8.074]],
  "species": ["Zr", "Zr", "Zr", "Ti", "Fe", "Fe", "Fe", "Fe", "Fe", "Fe", "Fe", "Fe"],
  "frac_coords": [[0.000, 0.000, 0.000], [0.126, 0.126, 0.126], [0.624, 0.624, 0.624], [0.500, 0.500, 0.500], [0.062, 0.062, 0.562], [0.062, 0.562, 0.062], [0.064, 0.562, 0.562], [0.312, 0.312, 0.312], [0.562, 0.062, 0.062], [0.562, 0.064, 0.562], [0.562, 0.562, 0.064], [0.813, 0.813, 0.813]],
  "magnetic_moment_mub_per_fu": 12.16,
  "sg": "R3m (160)"
}

=====

Entry 2:
{
  "formula": "ZrTiFe4",
  "functional": "PBE",
  "state": "optimized geometry",
  "cell": [[4.912, 0.000, 0.000], [-2.456, 4.254, 0.000], [0.000, 0.000, 7.937]],
  "species": ["Zr", "Zr", "Ti", "Ti", "Fe", "Fe", "Fe", "Fe", "Fe", "Fe", "Fe", "Fe"],
  "frac_coords": [[0.333, 0.667, 0.070], [0.667, 0.333, 0.930], [0.333, 0.667, 0.448], [0.667, 0.333, 0.552], [0.000, 0.000, 0.000], [0.000, 0.000, 0.500], [0.169, 0.337, 0.743], [0.169, 0.831, 0.743], [0.337, 0.169, 0.257], [0.663, 0.831, 0.743], [0.831, 0.169, 0.257], [0.831, 0.663, 0.257]],
  "magnetic_moment_mub_per_fu": 6.07,
  "sg": "P-3m1 (164)"
}

=====

Entry 3:
{
  "formula": "Tm6Fe23",
  "functional": "PBE",
  "state": "optimized geometry",
  "cell": [[0.000, 5.981, 5.981], [5.981, 0.000, 5.981], [5.981, 5.981, 0.000]],
  "species": ["Tm", "Tm", "Tm", "Tm", "Tm", "Tm", "Fe", "Fe", "Fe", "Fe", "Fe", "Fe", "Fe", "Fe", "Fe", "Fe", "Fe", "Fe", "Fe", "Fe", "Fe", "Fe", "Fe", "Fe", "Fe", "Fe", "Fe", "Fe", "Fe"],
  "frac_coords": [[0.210, 0.210, 0.790], [0.210, 0.790, 0.210], [0.210, 0.790, 0.790], [0.790, 0.210, 0.210], [0.790, 0.210, 0.790], [0.790, 0.790, 0.210], [0.000, 0.000, 0.500], [0.000, 0.500, 0.000], [0.000, 0.500, 0.500], [0.136, 0.621, 0.621], [0.175, 0.175, 0.175], [0.175, 0.175, 0.476], [0.175, 0.476, 0.175], [0.379, 0.379, 0.379], [0.379, 0.379, 0.864], [0.379, 0.864, 0.379], [0.476, 0.175, 0.175], [0.500, 0.000, 0.000], [0.500, 0.000, 0.500], [0.500, 0.500, 0.000], [0.500, 0.500, 0.500], [0.524, 0.825, 0.825], [0.621, 0.136, 0.621], [0.621, 0.621, 0.136], [0.621, 0.621, 0.621], [0.825, 0.524, 0.825], [0.825, 0.825, 0.524], [0.825, 0.825, 0.825], [0.864, 0.379, 0.379]],
  "magnetic_moment_mub_per_fu": 54.30,
  "sg": "Fm-3m (225)"
}

=====

Entry 4:
{
  "formula": "Tm2Fe17",
  "functional": "PBE",
  "state": "optimized geometry",
  "cell": [[8.405, 0.000, 0.000], [-4.202, 7.279, 0.000], [0.000, 0.000, 8.258]],
  "species": ["Tm", "Tm", "Tm", "Tm", "Fe", "Fe", "Fe", "Fe", "Fe", "Fe", "Fe", "Fe", "Fe", "Fe", "Fe", "Fe", "Fe", "Fe", "Fe", "Fe", "Fe", "Fe", "Fe", "Fe", "Fe", "Fe", "Fe", "Fe", "Fe", "Fe", "Fe", "Fe", "Fe", "Fe", "Fe", "Fe", "Fe", "Fe"],
  "frac_coords": [[0.000, 0.000, 0.250], [0.000, 0.000, 0.750], [0.333, 0.667, 0.250], [0.667, 0.333, 0.750], [0.000, 0.500, 0.000], [0.000, 0.500, 0.500], [0.036, 0.365, 0.750], [0.036, 0.671, 0.750], [0.166, 0.331, 0.014], [0.166, 0.331, 0.486], [0.166, 0.834, 0.014], [0.166, 0.834, 0.486], [0.329, 0.365, 0.750], [0.329, 0.964, 0.750], [0.331, 0.166, 0.514], [0.331, 0.166, 0.986], [0.333, 0.667, 0.607], [0.333, 0.667, 0.893], [0.365, 0.036, 0.250], [0.365, 0.329, 0.250], [0.500, 0.000, 0.000], [0.500, 0.000, 0.500], [0.500, 0.500, 0.000], [0.500, 0.500, 0.500], [0.635, 0.671, 0.750], [0.635, 0.964, 0.750], [0.667, 0.333, 0.107], [0.667, 0.333, 0.393], [0.669, 0.834, 0.014], [0.669, 0.834, 0.486], [0.671, 0.036, 0.250], [0.671, 0.635, 0.250], [0.834, 0.166, 0.514], [0.834, 0.166, 0.986], [0.834, 0.669, 0.514], [0.834, 0.669, 0.986], [0.964, 0.329, 0.250], [0.964, 0.635, 0.250]],
  "magnetic_moment_mub_per_fu": 37.49,
  "sg": "P6_3/mmc (194)"
}

=====

Entry 5:
{
  "formula": "TmFe3",
  "functional": "PBE",
  "state": "optimized geometry",
  "cell": [[2.530, 1.461, 8.013], [-2.530, 1.461, 8.013], [0.000, -2.922, 8.013]],
  "species": ["Tm", "Tm", "Tm", "Fe", "Fe", "Fe", "Fe", "Fe", "Fe", "Fe", "Fe", "Fe"],
  "frac_coords": [[0.000, 0.000, 0.000], [0.142, 0.142, 0.142], [0.858, 0.858, 0.858], [0.082, 0.582, 0.582], [0.333, 0.333, 0.333], [0.418, 0.418, 0.918], [0.418, 0.918, 0.418], [0.500, 0.500, 0.500], [0.582, 0.082, 0.582], [0.582, 0.582, 0.082], [0.667, 0.667, 0.667], [0.918, 0.418, 0.418]],
  "magnetic_moment_mub_per_fu": 5.38,
  "sg": "R-3m (166)"
}

=====

Entry 6:
{
  "formula": "TmFe2",
  "functional": "PBE",
  "state": "optimized geometry",
  "cell": [[0.000, 3.592, 3.592], [3.592, 0.000, 3.592], [3.592, 3.592, 0.000]],
  "species": ["Tm", "Tm", "Fe", "Fe", "Fe", "Fe"],
  "frac_coords": [[0.125, 0.125, 0.125], [0.875, 0.875, 0.875], [0.000, 0.500, 0.500], [0.500, 0.000, 0.500], [0.500, 0.500, 0.000], [0.500, 0.500, 0.500]],
  "sg": "Fd-3m (227)"
}

=====

Entry 7:
{
  "formula": "TmFe2",
  "functional": "PBE",
  "state": "optimized geometry",
  "cell": [[5.093, 0.000, 0.000], [-2.546, 4.411, 0.000], [0.000, 0.000, 8.274]],
  "species": ["Tm", "Tm", "Tm", "Tm", "Fe", "Fe", "Fe", "Fe", "Fe", "Fe", "Fe", "Fe"],
  "frac_coords": [[0.333, 0.667, 0.062], [0.333, 0.667, 0.438], [0.667, 0.333, 0.562], [0.667, 0.333, 0.938], [0.000, 0.000, 0.000], [0.000, 0.000, 0.500], [0.166, 0.332, 0.750], [0.166, 0.834, 0.750], [0.332, 0.166, 0.250], [0.668, 0.834, 0.750], [0.834, 0.166, 0.250], [0.834, 0.668, 0.250]],
  "magnetic_moment_mub_per_fu": 3.21,
  "sg": "P6_3/mmc (194)"
}

=====

Entry 8:
{
  "formula": "TmV2Fe10",
  "functional": "PBE",
  "state": "optimized geometry",
  "cell": [[-2.346, 4.220, 4.221], [2.346, -4.220, 4.221], [2.346, 4.220, -4.221]],
  "species": ["Tm", "V", "V", "Fe", "Fe", "Fe", "Fe", "Fe", "Fe", "Fe", "Fe", "Fe", "Fe"],
  "frac_coords": [[0.000, 0.000, 0.000], [0.357, 0.357, 0.000], [0.643, 0.643, 0.000], [0.000, 0.000, 0.500], [0.000, 0.500, 0.000], [0.221, 0.721, 0.500], [0.227, 0.500, 0.727], [0.360, 0.000, 0.360], [0.500, 0.000, 0.000], [0.500, 0.500, 0.500], [0.640, 0.000, 0.640], [0.773, 0.500, 0.273], [0.779, 0.279, 0.500]],
  "magnetic_moment_mub_per_fu": 16.87,
  "sg": "Immm (71)"
}

=====

| no. | formation energy (meV/atom) |
| --- | --- |
| 1 | -279.3 |
| 2 | -264.7 |
| 3 | -86.1 |
| 4 | -23.0 |
| 5 | -114.2 |
| 6 | -143.1 |
| 7 | -118.5 |
| 8 | -79.8 |